(1)
{
  "formula": "BaMg14TiO16",
  "functional": "PBE-GGA",
  "state": "optimized geometry",
  "volume_a3_per_cell": 349.9,
  "ef_kcal_per_mol_atoms": -64.52,
  "energy_ev_per_atom": -5.935,
  "cell": [[-6.389, -3.803, 4.676], [6.030, -3.806, 5.143], [-0.103, 3.583, 2.773]],
  "species": ["Mg", "O", "O", "O", "Mg", "O", "O", "Mg", "Ba", "Mg", "O", "Mg", "O", "O", "O", "O", "O", "Ti", "Mg", "O", "Mg", "Mg", "O", "O", "Mg", "Mg", "Mg", "O", "Mg", "O", "Mg", "Mg"],
  "fractional_positions": [[0.262, 0.756, 0.000], [0.000, 0.779, 0.000], [0.500, 0.242, 0.000], [0.500, 0.758, 0.000], [0.000, 0.761, 0.500], [0.500, 0.500, 0.500], [0.744, 0.000, 0.000], [0.736, 0.500, 0.500], [0.000, 0.500, 0.000], [0.253, 0.000, 0.500], [0.000, 0.500, 0.500], [0.738, 0.244, 0.000], [0.249, 0.750, 0.500], [0.281, 0.500, 0.000], [0.751, 0.250, 0.500], [0.000, 0.221, 0.000], [0.256, 0.000, 0.000], [0.000, 0.000, 0.000], [0.500, 0.248, 0.500], [0.500, 0.000, 0.500], [0.264, 0.500, 0.500], [0.500, 0.752, 0.500], [0.719, 0.500, 0.000], [0.000, 0.000, 0.500], [0.500, 0.500, 0.000], [0.747, 0.000, 0.500], [0.500, 0.000, 0.000], [0.249, 0.250, 0.500], [0.262, 0.244, 0.000], [0.751, 0.750, 0.500], [0.738, 0.756, 0.000], [0.000, 0.239, 0.500]]
}

(2)
{
  "formula": "BaMg14TiO16",
  "functional": "PBE-GGA",
  "state": "optimized geometry",
  "volume_a3_per_cell": 345.9,
  "ef_kcal_per_mol_atoms": -64.54,
  "energy_ev_per_atom": -5.936,
  "cell": [[8.770, 0.000, 0.000], [0.000, 8.770, 0.000], [0.000, 0.000, 4.498]],
  "species": ["O", "O", "Mg", "O", "O", "O", "Ba", "Mg", "Mg", "O", "Mg", "O", "O", "Mg", "Mg", "Mg", "O", "Mg", "O", "O", "Ti", "Mg", "O", "Mg", "O", "O", "O", "Mg", "Mg", "Mg", "Mg", "O"],
  "fractional_positions": [[0.249, 0.751, 0.500], [0.000, 0.500, 0.500], [0.757, 0.757, 0.000], [0.500, 0.219, 0.000], [0.500, 0.000, 0.500], [0.781, 0.500, 0.000], [0.500, 0.500, 0.000], [0.500, 0.000, 0.000], [0.243, 0.757, 0.000], [0.000, 0.000, 0.500], [0.236, 0.500, 0.500], [0.500, 0.781, 0.000], [0.000, 0.753, 0.000], [0.243, 0.243, 0.000], [0.000, 0.500, 0.000], [0.764, 0.500, 0.500], [0.000, 0.247, 0.000], [0.500, 0.764, 0.500], [0.753, 0.000, 0.000], [0.219, 0.500, 0.000], [0.000, 0.000, 0.000], [0.000, 0.750, 0.500], [0.500, 0.500, 0.500], [0.500, 0.236, 0.500], [0.751, 0.249, 0.500], [0.751, 0.751, 0.500], [0.247, 0.000, 0.000], [0.000, 0.250, 0.500], [0.750, 0.000, 0.500], [0.757, 0.243, 0.000], [0.250, 0.000, 0.500], [0.249, 0.249, 0.500]]
}

(3)
{
  "formula": "Ba3MgTi2O7",
  "functional": "PBE-GGA",
  "state": "optimized geometry",
  "volume_a3_per_cell": 235.9,
  "ef_kcal_per_mol_atoms": -69.33,
  "energy_ev_per_atom": -7.081,
  "cell": [[-1.599, -4.643, 3.198], [-4.040, -1.629, -9.703], [1.310, -6.861, 1.549]],
  "species": ["O", "O", "O", "Ba", "O", "Ti", "Mg", "O", "Ti", "O", "O", "Ba", "Ba"],
  "fractional_positions": [[0.802, 0.807, 0.874], [0.353, 0.249, 0.149], [0.188, 0.193, 0.681], [0.907, 0.000, 0.305], [0.160, 0.610, 0.483], [0.155, 0.771, 0.419], [0.913, 0.000, 0.794], [0.387, 0.000, 0.292], [0.614, 0.230, 0.190], [0.857, 0.752, 0.397], [0.940, 0.390, 0.092], [0.992, 0.631, 0.969], [0.730, 0.369, 0.600]]
}

(4)
{
  "formula": "Ba2MgTiO4",
  "functional": "PBE-GGA",
  "state": "optimized geometry",
  "volume_a3_per_cell": 173.5,
  "ef_kcal_per_mol_atoms": -62.24,
  "energy_ev_per_atom": -6.496,
  "cell": [[3.986, 0.000, 0.000], [0.000, 3.969, 0.000], [0.000, 0.000, 10.966]],
  "species": ["Ba", "O", "Mg", "Ba", "O", "O", "O", "Ti"],
  "fractional_positions": [[0.995, 0.000, 0.931], [0.493, 0.000, 0.750], [0.495, 0.000, 0.250], [0.995, 0.000, 0.569], [0.993, 0.500, 0.750], [0.494, 0.500, 0.568], [0.494, 0.500, 0.932], [0.495, 0.500, 0.750]]
}

(5)
{
  "formula": "Ba4MgTi3O10",
  "functional": "PBE-GGA",
  "state": "optimized geometry",
  "volume_a3_per_cell": 280.8,
  "ef_kcal_per_mol_atoms": -73.12,
  "energy_ev_per_atom": -7.369,
  "cell": [[-0.957, -1.785, -3.505], [2.113, -15.393, 7.277], [-3.013, 2.292, 4.328]],
  "species": ["O", "O", "O", "Ba", "O", "Ba", "O", "Mg", "Ba", "Ti", "O", "O", "Ti", "O", "O", "Ti", "Ba", "O"],
  "fractional_positions": [[0.459, 0.287, 0.647], [0.222, 0.801, 0.415], [0.873, 0.164, 0.564], [0.903, 0.170, 0.084], [0.026, 0.405, 0.715], [0.034, 0.404, 0.221], [0.667, 0.681, 0.862], [0.659, 0.803, 0.351], [0.138, 0.577, 0.832], [0.855, 0.053, 0.527], [0.285, 0.042, 0.979], [0.289, 0.039, 0.489], [0.229, 0.683, 0.424], [0.110, 0.566, 0.305], [0.454, 0.288, 0.141], [0.975, 0.294, 0.659], [0.735, 0.927, 0.924], [0.684, 0.687, 0.378]]
}

(6)
{
  "formula": "Ba4MgTi3O10",
  "functional": "PBE-GGA",
  "state": "optimized geometry",
  "volume_a3_per_cell": 270.6,
  "ef_kcal_per_mol_atoms": -70.84,
  "energy_ev_per_atom": -7.270,
  "cell": [[-2.767, 0.347, -2.922], [-13.143, -5.477, 8.910], [2.364, 3.587, 3.798]],
  "species": ["O", "Mg", "O", "Ti", "O", "O", "Ba", "O", "Ti", "Ti", "O", "Ba", "Ba", "O", "O", "O", "O", "Ba"],
  "fractional_positions": [[0.994, 0.881, 0.421], [0.987, 0.000, 0.892], [0.008, 0.420, 0.743], [0.008, 0.697, 0.384], [0.513, 0.290, 0.682], [0.526, 0.002, 0.934], [0.017, 0.176, 0.141], [0.995, 0.122, 0.541], [0.010, 0.302, 0.686], [0.989, 0.002, 0.422], [0.008, 0.581, 0.322], [0.008, 0.588, 0.827], [0.013, 0.824, 0.968], [0.509, 0.291, 0.180], [0.454, 0.002, 0.397], [0.510, 0.710, 0.391], [0.508, 0.709, 0.889], [0.009, 0.412, 0.239]]
}

(7)
{
  "formula": "BaMg6TiO8",
  "functional": "PBE-GGA",
  "state": "optimized geometry",
  "volume_a3_per_cell": 196.7,
  "ef_kcal_per_mol_atoms": -58.76,
  "energy_ev_per_atom": -5.892,
  "cell": [[-2.646, -2.261, 8.187], [4.329, -1.559, 0.969], [1.188, 4.272, 1.564]],
  "species": ["O", "O", "O", "O", "Mg", "Ti", "O", "Mg", "Mg", "Mg", "O", "Mg", "Mg", "O", "O", "Ba"],
  "fractional_positions": [[0.218, 0.000, 0.000], [0.500, 0.000, 0.500], [0.247, 0.500, 0.500], [0.500, 0.500, 0.000], [0.237, 0.500, 0.000], [0.000, 0.000, 0.000], [0.782, 0.000, 0.000], [0.000, 0.500, 0.500], [0.500, 0.500, 0.500], [0.763, 0.500, 0.000], [0.000, 0.000, 0.500], [0.763, 0.000, 0.500], [0.237, 0.000, 0.500], [0.753, 0.500, 0.500], [0.000, 0.500, 0.000], [0.500, 0.000, 0.000]]
}

(8)
{
  "formula": "BaMg6TiO8",
  "functional": "PBE-GGA",
  "state": "optimized geometry",
  "volume_a3_per_cell": 192.7,
  "ef_kcal_per_mol_atoms": -59.22,
  "energy_ev_per_atom": -5.912,
  "cell": [[8.928, 0.000, 0.000], [0.000, 4.646, 0.000], [0.000, 0.000, 4.646]],
  "species": ["Mg", "Mg", "Mg", "Mg", "Ba", "O", "Mg", "Mg", "O", "O", "Ti", "O", "O", "O", "O", "O"],
  "fractional_positions": [[0.500, 0.000, 0.000], [0.500, 0.500, 0.500], [0.731, 0.500, 0.000], [0.731, 0.000, 0.500], [0.000, 0.500, 0.500], [0.258, 0.000, 0.000], [0.269, 0.500, 0.000], [0.269, 0.000, 0.500], [0.742, 0.000, 0.000], [0.500, 0.000, 0.500], [0.000, 0.000, 0.000], [0.283, 0.500, 0.500], [0.000, 0.500, 0.000], [0.717, 0.500, 0.500], [0.500, 0.500, 0.000], [0.000, 0.000, 0.500]]
}

Question: Which formula does entry 3 have?
Answer: Ba3MgTi2O7

What did the second record say?
{
  "formula": "BaMg14TiO16",
  "functional": "PBE-GGA",
  "state": "optimized geometry",
  "volume_a3_per_cell": 345.9,
  "ef_kcal_per_mol_atoms": -64.54,
  "energy_ev_per_atom": -5.936,
  "cell": [[8.770, 0.000, 0.000], [0.000, 8.770, 0.000], [0.000, 0.000, 4.498]],
  "species": ["O", "O", "Mg", "O", "O", "O", "Ba", "Mg", "Mg", "O", "Mg", "O", "O", "Mg", "Mg", "Mg", "O", "Mg", "O", "O", "Ti", "Mg", "O", "Mg", "O", "O", "O", "Mg", "Mg", "Mg", "Mg", "O"],
  "fractional_positions": [[0.249, 0.751, 0.500], [0.000, 0.500, 0.500], [0.757, 0.757, 0.000], [0.500, 0.219, 0.000], [0.500, 0.000, 0.500], [0.781, 0.500, 0.000], [0.500, 0.500, 0.000], [0.500, 0.000, 0.000], [0.243, 0.757, 0.000], [0.000, 0.000, 0.500], [0.236, 0.500, 0.500], [0.500, 0.781, 0.000], [0.000, 0.753, 0.000], [0.243, 0.243, 0.000], [0.000, 0.500, 0.000], [0.764, 0.500, 0.500], [0.000, 0.247, 0.000], [0.500, 0.764, 0.500], [0.753, 0.000, 0.000], [0.219, 0.500, 0.000], [0.000, 0.000, 0.000], [0.000, 0.750, 0.500], [0.500, 0.500, 0.500], [0.500, 0.236, 0.500], [0.751, 0.249, 0.500], [0.751, 0.751, 0.500], [0.247, 0.000, 0.000], [0.000, 0.250, 0.500], [0.750, 0.000, 0.500], [0.757, 0.243, 0.000], [0.250, 0.000, 0.500], [0.249, 0.249, 0.500]]
}